1.
{
  "formula": "Sb8Pd3Au",
  "functional": "r²SCAN",
  "state": "relaxed",
  "ef_ev_per_atom": -0.282,
  "space_group": "R-3, No. 148",
  "lattice": [[-5.0917, -3.7161, 1.8441], [0.2062, -3.1671, -5.7500], [4.1296, -4.4182, 2.5616]],
  "species": ["Sb", "Sb", "Pd", "Pd", "Sb", "Pd", "Sb", "Sb", "Sb", "Au", "Sb", "Sb"],
  "fractional_positions": [[0.1256, 0.1256, 0.1256], [0.6295, 0.3708, 0.8826], [0.0000, 0.0000, 0.5000], [0.5000, 0.0000, 0.0000], [0.8744, 0.8744, 0.8744], [0.0000, 0.5000, 0.0000], [0.3708, 0.8826, 0.6295], [0.1174, 0.3705, 0.6292], [0.3705, 0.6292, 0.1174], [0.5000, 0.5000, 0.5000], [0.6292, 0.1174, 0.3705], [0.8826, 0.6295, 0.3708]]
}

2.
{
  "formula": "Mg3Bi",
  "functional": "r²SCAN",
  "state": "relaxed",
  "ef_ev_per_atom": -0.089,
  "space_group": "Pm-3m, No. 221",
  "lattice": [[4.5830, 0.0000, 0.0000], [0.0000, 4.5830, 0.0000], [0.0000, 0.0000, 4.5830]],
  "species": ["Mg", "Mg", "Bi", "Mg"],
  "fractional_positions": [[0.0000, 0.5000, 0.5000], [0.5000, 0.5000, 0.0000], [0.0000, 0.0000, 0.0000], [0.5000, 0.0000, 0.5000]]
}

3.
{
  "formula": "NaW6NCl18",
  "functional": "r²SCAN",
  "state": "relaxed",
  "ef_ev_per_atom": -0.999,
  "space_group": "P6_3/m, No. 176",
  "lattice": [[4.5139, -7.8183, 0.0000], [4.5139, 7.8183, 0.0000], [0.0000, 0.0000, 18.0153]],
  "species": ["Cl", "Cl", "W", "N", "Cl", "Cl", "Cl", "W", "W", "W", "Cl", "Cl", "W", "Cl", "Na", "Cl", "Cl", "Cl", "Cl", "Cl", "Cl", "Cl", "W", "Cl", "Cl", "Cl", "W", "W", "Cl", "Cl", "Cl", "Cl", "Cl", "Cl", "Cl", "W", "Cl", "Cl", "Cl", "W", "Cl", "Cl", "Cl", "Cl", "Cl", "Na", "W", "Cl", "Cl", "Cl", "W", "N"],
  "fractional_positions": [[0.0834, 0.8024, 0.7500], [0.5189, 0.8903, 0.5721], [0.6981, 0.1829, 0.3358], [0.3333, 0.6667, 0.7500], [0.4764, 0.0538, 0.7500], [0.2598, 0.0303, 0.8992], [0.7705, 0.7402, 0.8992], [0.1829, 0.4848, 0.8358], [0.6981, 0.1829, 0.1642], [0.4848, 0.3019, 0.3358], [0.9166, 0.1976, 0.2500], [0.1097, 0.6286, 0.9279], [0.8171, 0.5152, 0.1642], [0.8903, 0.3714, 0.4279], [0.0000, 0.0000, 0.5000], [0.0538, 0.5774, 0.2500], [0.2295, 0.2598, 0.1008], [0.9697, 0.2295, 0.8992], [0.7705, 0.7402, 0.6008], [0.5236, 0.9462, 0.2500], [0.4811, 0.1097, 0.4279], [0.0303, 0.7705, 0.3992], [0.5152, 0.6981, 0.6642], [0.8024, 0.7189, 0.2500], [0.6286, 0.5189, 0.4279], [0.3714, 0.4811, 0.5721], [0.4848, 0.3019, 0.1642], [0.3019, 0.8171, 0.6642], [0.2598, 0.0303, 0.6008], [0.5774, 0.5236, 0.7500], [0.8903, 0.3714, 0.0721], [0.6286, 0.5189, 0.0721], [0.4226, 0.4764, 0.2500], [0.7402, 0.9697, 0.1008], [0.5189, 0.8903, 0.9279], [0.3019, 0.8171, 0.8358], [0.0303, 0.7705, 0.1008], [0.7189, 0.9166, 0.7500], [0.1976, 0.2811, 0.7500], [0.5152, 0.6981, 0.8358], [0.7402, 0.9697, 0.3992], [0.1097, 0.6286, 0.5721], [0.4811, 0.1097, 0.0721], [0.9462, 0.4226, 0.7500], [0.2811, 0.0834, 0.2500], [0.0000, 0.0000, 0.0000], [0.8171, 0.5152, 0.3358], [0.3714, 0.4811, 0.9279], [0.2295, 0.2598, 0.3992], [0.9697, 0.2295, 0.6008], [0.1829, 0.4848, 0.6642], [0.6667, 0.3333, 0.2500]]
}

4.
{
  "formula": "Li4P2O7",
  "functional": "r²SCAN",
  "state": "relaxed",
  "ef_ev_per_atom": -2.042,
  "e_above_lowest_polymorph_mev_per_atom": 543,
  "space_group": "P-1, No. 2",
  "lattice": [[-2.7399, 0.5308, 4.7109], [-4.3922, -1.3293, -3.3906], [4.2139, -8.6665, 1.8207]],
  "species": ["O", "O", "Li", "P", "O", "Li", "O", "O", "O", "Li", "O", "Li", "Li", "O", "Li", "O", "O", "P", "O", "O", "O", "P", "P", "Li", "O", "Li"],
  "fractional_positions": [[0.0331, 0.9569, 0.3434], [0.9593, 0.6369, 0.7347], [0.4053, 0.6852, 0.5754], [0.0313, 0.2226, 0.4259], [0.6492, 0.4667, 0.1339], [0.1944, 0.8969, 0.1919], [0.3027, 0.3298, 0.5110], [0.6973, 0.6702, 0.4890], [0.5356, 0.0252, 0.2453], [0.6966, 0.6894, 0.0021], [0.3508, 0.5333, 0.8661], [0.5947, 0.3148, 0.4246], [0.3034, 0.3106, 0.9979], [0.0559, 0.7581, 0.0011], [0.7019, 0.7615, 0.3048], [0.9441, 0.2419, 0.9989], [0.6726, 0.0204, 0.1242], [0.1680, 0.7112, 0.8679], [0.9669, 0.0431, 0.6566], [0.3274, 0.9796, 0.8758], [0.0407, 0.3631, 0.2653], [0.8320, 0.2888, 0.1321], [0.9687, 0.7774, 0.5741], [0.2981, 0.2385, 0.6952], [0.4644, 0.9748, 0.7547], [0.8056, 0.1031, 0.8081]]
}

5.
{
  "formula": "Sb2Pd5",
  "functional": "r²SCAN",
  "state": "relaxed",
  "ef_ev_per_atom": -0.446,
  "space_group": "P6_3cm, No. 185",
  "lattice": [[7.6659, 0.0002, 0.0001], [-3.8328, 6.6390, 0.0001], [0.0001, 0.0002, 14.0321]],
  "species": ["Sb", "Pd", "Pd", "Pd", "Pd", "Pd", "Pd", "Pd", "Pd", "Pd", "Pd", "Pd", "Sb", "Pd", "Sb", "Sb", "Pd", "Sb", "Pd", "Pd", "Pd", "Pd", "Pd", "Pd", "Pd", "Pd", "Pd", "Pd", "Sb", "Pd", "Sb", "Pd", "Pd", "Sb", "Pd", "Pd", "Sb", "Sb", "Pd", "Sb", "Pd", "Sb"],
  "fractional_positions": [[0.6667, 0.3333, 0.2899], [0.6667, 0.3334, 0.0893], [0.6667, 0.3333, 0.5893], [0.0000, 0.6272, 0.4238], [0.7380, 0.7380, 0.1149], [0.0000, 0.3710, 0.7130], [0.3728, 0.3728, 0.4238], [0.0000, 0.6904, 0.8222], [0.0000, 0.0000, 0.9437], [0.2620, 0.0000, 0.1149], [0.0000, 0.7380, 0.6149], [0.6291, 0.0000, 0.2130], [0.3333, 0.6667, 0.2899], [0.3333, 0.6667, 0.5893], [0.0000, 0.0000, 0.2434], [0.0000, 0.0000, 0.7433], [0.0000, 0.0000, 0.4437], [0.0000, 0.3309, 0.5169], [0.3097, 0.3097, 0.8222], [0.0000, 0.3728, 0.9237], [0.6903, 0.6903, 0.3223], [0.6904, 0.0000, 0.8222], [0.6290, 0.6290, 0.7130], [0.2620, 0.2620, 0.6149], [0.7380, 0.0000, 0.6149], [0.3710, 0.0000, 0.7130], [0.3728, 0.0000, 0.9237], [0.6272, 0.6272, 0.9238], [0.6691, 0.6691, 0.5169], [0.3097, 0.0000, 0.3222], [0.3309, 0.0000, 0.5169], [0.3708, 0.3708, 0.2130], [0.6272, 0.0000, 0.4238], [0.6667, 0.3333, 0.7901], [0.0000, 0.3097, 0.3222], [0.0000, 0.6291, 0.2130], [0.3310, 0.3310, 0.0169], [0.0000, 0.6691, 0.0169], [0.3334, 0.6667, 0.0893], [0.3333, 0.6667, 0.7901], [0.0000, 0.2620, 0.1149], [0.6691, 0.0000, 0.0169]]
}

6.
{
  "formula": "NaYF4",
  "functional": "r²SCAN",
  "state": "relaxed",
  "ef_ev_per_atom": -3.983,
  "space_group": "P4/mmm, No. 123",
  "lattice": [[3.7810, 0.0000, 0.0000], [0.0000, 3.7810, 0.0000], [0.0000, 0.0000, 5.4266]],
  "species": ["F", "Y", "F", "F", "Na", "F"],
  "fractional_positions": [[0.0000, 0.5000, 0.2661], [0.5000, 0.5000, 0.5000], [0.0000, 0.5000, 0.7339], [0.5000, 0.0000, 0.7339], [0.0000, 0.0000, 0.0000], [0.5000, 0.0000, 0.2661]]
}